(1)
This record from the Materials Project database describes Rb2PrCl5 after structural relaxation. The functional is PBE-GGA.

Summary:
Corrected total energy (MP2020 scheme) = -4.55 eV per atom
Energy of formation = -246.6 kJ per mole of atoms

Cell: 13.472 9.023 8.392 Å, 90.00 90.00 90.00°
Fractional coordinates of all 32 atoms:
Rb (0.171, 0.006, 0.058)
Rb (0.171, 0.494, 0.058)
Rb (0.329, 0.506, 0.558)
Rb (0.329, 0.994, 0.558)
Rb (0.671, 0.006, 0.442)
Rb (0.671, 0.494, 0.442)
Rb (0.829, 0.506, 0.942)
Rb (0.829, 0.994, 0.942)
Pr (0.005, 0.250, 0.571)
Pr (0.495, 0.750, 0.071)
Pr (0.505, 0.250, 0.929)
Pr (0.995, 0.750, 0.429)
Cl (0.010, 0.250, 0.907)
Cl (0.071, 0.542, 0.662)
Cl (0.071, 0.958, 0.662)
Cl (0.177, 0.250, 0.385)
Cl (0.197, 0.750, 0.348)
Cl (0.303, 0.250, 0.848)
Cl (0.323, 0.750, 0.885)
Cl (0.429, 0.042, 0.162)
Cl (0.429, 0.458, 0.162)
Cl (0.490, 0.750, 0.407)
Cl (0.510, 0.250, 0.593)
Cl (0.571, 0.542, 0.838)
Cl (0.571, 0.958, 0.838)
Cl (0.677, 0.250, 0.115)
Cl (0.697, 0.750, 0.152)
Cl (0.803, 0.250, 0.652)
Cl (0.823, 0.750, 0.615)
Cl (0.929, 0.042, 0.338)
Cl (0.929, 0.458, 0.338)
Cl (0.990, 0.750, 0.093)

=====

(2)
This record from the Materials Project database describes CuH12N2Cl4O2 after structural relaxation. The functional is PBE-GGA.

Summary:
ΔE to the lowest computed polymorph = 4.3 meV/atom
Corrected total energy (MP2020 scheme) = -4.52 eV per atom
Energy of formation = -73.7 kJ per mole of atoms

Cell: 7.639 7.639 7.959 Å, 90.00 90.00 90.00°
Fractional coordinates of all 42 atoms:
Cu (0.000, 0.000, 0.000)
Cu (0.500, 0.500, 0.500)
H (0.070, 0.414, 0.175)
H (0.070, 0.414, 0.825)
H (0.075, 0.075, 0.324)
H (0.075, 0.075, 0.676)
H (0.086, 0.570, 0.325)
H (0.086, 0.570, 0.675)
H (0.414, 0.070, 0.175)
H (0.414, 0.070, 0.825)
H (0.425, 0.575, 0.176)
H (0.425, 0.575, 0.824)
H (0.430, 0.914, 0.325)
H (0.430, 0.914, 0.675)
H (0.570, 0.086, 0.325)
H (0.570, 0.086, 0.675)
H (0.575, 0.425, 0.176)
H (0.575, 0.425, 0.824)
H (0.586, 0.930, 0.175)
H (0.586, 0.930, 0.825)
H (0.914, 0.430, 0.325)
H (0.914, 0.430, 0.675)
H (0.925, 0.925, 0.324)
H (0.925, 0.925, 0.676)
H (0.930, 0.586, 0.175)
H (0.930, 0.586, 0.825)
N (0.000, 0.500, 0.250)
N (0.000, 0.500, 0.750)
N (0.500, 0.000, 0.250)
N (0.500, 0.000, 0.750)
Cl (0.211, 0.211, 0.000)
Cl (0.217, 0.217, 0.500)
Cl (0.283, 0.717, 0.000)
Cl (0.289, 0.711, 0.500)
Cl (0.711, 0.289, 0.500)
Cl (0.717, 0.283, 0.000)
Cl (0.783, 0.783, 0.500)
Cl (0.789, 0.789, 0.000)
O (0.000, 0.000, 0.250)
O (0.000, 0.000, 0.750)
O (0.500, 0.500, 0.250)
O (0.500, 0.500, 0.750)

=====

(3)
This record from the Materials Project database describes Fe11MoC4 after structural relaxation. The functional is PBE-GGA.

Summary:
ΔE to the lowest computed polymorph = 119.2 meV/atom
Energy of formation = 18.2 kJ per mole of atoms

Cell: 2.945 5.646 9.999 Å, 90.00 90.00 90.00°
Fractional coordinates of all 16 atoms:
Fe (0.000, 0.000, 0.000)
Fe (0.000, 0.000, 0.320)
Fe (0.000, 0.000, 0.680)
Fe (0.000, 0.500, 0.315)
Fe (0.000, 0.500, 0.685)
Fe (0.500, 0.244, 0.189)
Fe (0.500, 0.244, 0.811)
Fe (0.500, 0.260, 0.500)
Fe (0.500, 0.740, 0.500)
Fe (0.500, 0.756, 0.189)
Fe (0.500, 0.756, 0.811)
Mo (0.000, 0.500, 0.000)
C (0.000, 0.000, 0.500)
C (0.000, 0.500, 0.500)
C (0.500, 0.227, 0.000)
C (0.500, 0.773, 0.000)

=====

(4)
This record from the Materials Project database describes Mg5Bi after structural relaxation. The functional is PBE-GGA.

Summary:
Energy of formation = -1.9 kJ per mole of atoms

Cell: 5.818 5.818 5.056 Å, 90.00 90.00 120.00°
Fractional coordinates of all 6 atoms:
Mg (0.000, 0.347, 0.000)
Mg (0.333, 0.667, 0.500)
Mg (0.347, 0.000, 0.000)
Mg (0.653, 0.653, 0.000)
Mg (0.667, 0.333, 0.500)
Bi (0.000, 0.000, 0.500)

=====

Repeat the first record exactly.
This record from the Materials Project database describes Rb2PrCl5 after structural relaxation. The functional is PBE-GGA.

Summary:
Corrected total energy (MP2020 scheme) = -4.55 eV per atom
Energy of formation = -246.6 kJ per mole of atoms

Cell: 13.472 9.023 8.392 Å, 90.00 90.00 90.00°
Fractional coordinates of all 32 atoms:
Rb (0.171, 0.006, 0.058)
Rb (0.171, 0.494, 0.058)
Rb (0.329, 0.506, 0.558)
Rb (0.329, 0.994, 0.558)
Rb (0.671, 0.006, 0.442)
Rb (0.671, 0.494, 0.442)
Rb (0.829, 0.506, 0.942)
Rb (0.829, 0.994, 0.942)
Pr (0.005, 0.250, 0.571)
Pr (0.495, 0.750, 0.071)
Pr (0.505, 0.250, 0.929)
Pr (0.995, 0.750, 0.429)
Cl (0.010, 0.250, 0.907)
Cl (0.071, 0.542, 0.662)
Cl (0.071, 0.958, 0.662)
Cl (0.177, 0.250, 0.385)
Cl (0.197, 0.750, 0.348)
Cl (0.303, 0.250, 0.848)
Cl (0.323, 0.750, 0.885)
Cl (0.429, 0.042, 0.162)
Cl (0.429, 0.458, 0.162)
Cl (0.490, 0.750, 0.407)
Cl (0.510, 0.250, 0.593)
Cl (0.571, 0.542, 0.838)
Cl (0.571, 0.958, 0.838)
Cl (0.677, 0.250, 0.115)
Cl (0.697, 0.750, 0.152)
Cl (0.803, 0.250, 0.652)
Cl (0.823, 0.750, 0.615)
Cl (0.929, 0.042, 0.338)
Cl (0.929, 0.458, 0.338)
Cl (0.990, 0.750, 0.093)

=====

- Which value of energy of formation does entry 3 give?
  18.2 kJ per mole of atoms

=====

- Which value of energy of formation does entry 4 give?
  -1.9 kJ per mole of atoms